Version P
Entry from Materials Project: a geometry-optimized NaSe2O6 structure (PBE-GGA).

Cell: 5.8576 5.5254 11.6348 Å, 90.00 104.28 90.00°
Fractional positions:
Na1 0.0000 0.0166 0.0000
Na2 0.0000 0.9834 0.5000
Se1 0.3342 0.3127 0.7909
Se2 0.3342 0.6873 0.2909
Se3 0.6611 0.1347 0.2267
Se4 0.6611 0.8653 0.7267
O1 0.1569 0.2197 0.6661
O2 0.1569 0.7803 0.1661
O3 0.2431 0.2403 0.9101
O4 0.2431 0.7597 0.4101
O5 0.4096 0.2948 0.2032
O6 0.4096 0.7052 0.7032
O7 0.6200 0.1309 0.8118
O8 0.6200 0.8691 0.3118
O9 0.7027 0.0450 0.0994
O10 0.7027 0.9550 0.5994
O11 0.8862 0.2551 0.3236
O12 0.8862 0.7449 0.8236

Version Q
Entry from Materials Project: a geometry-optimized NaSe2O6 structure (PBE-GGA).

Cell: 5.9604 5.2494 11.9712 Å, 90.00 119.61 90.00°
Fractional positions:
Na1 0.0000 0.0000 0.0000
Na2 0.0000 0.5000 0.5000
Se1 0.3221 0.1769 0.3319
Se2 0.3221 0.3231 0.8319
Se3 0.6779 0.6769 0.1681
Se4 0.6779 0.8231 0.6681
O1 0.0698 0.2380 0.3502
O2 0.0698 0.2620 0.8502
O3 0.2790 0.2418 0.1863
O4 0.2790 0.2582 0.6863
O5 0.3991 0.7304 0.5452
O6 0.3991 0.7696 0.0452
O7 0.6009 0.2304 0.9548
O8 0.6009 0.2696 0.4548
O9 0.7210 0.7418 0.3137
O10 0.7210 0.7582 0.8137
O11 0.9302 0.7380 0.1498
O12 0.9302 0.7620 0.6498

Which of them is most stable? Easy: version P.

Version P
Entry from Materials Project: a geometry-optimized Na2Si2O5 structure (PBE-GGA).

Cell: 8.2213 4.9206 12.4656 Å, 90.00 104.24 90.00°
Fractional positions:
Na1 0.1207 0.2461 0.0575
Na2 0.1207 0.2539 0.5575
Na3 0.3647 0.7264 0.5283
Na4 0.3647 0.7736 0.0283
Na5 0.6353 0.2264 0.9717
Na6 0.6353 0.2736 0.4717
Na7 0.8793 0.7461 0.4425
Na8 0.8793 0.7539 0.9425
Si1 0.0968 0.7081 0.2228
Si2 0.0968 0.7919 0.7228
Si3 0.4725 0.6884 0.8174
Si4 0.4725 0.8116 0.3174
Si5 0.5275 0.1884 0.6826
Si6 0.5275 0.3116 0.1826
Si7 0.9032 0.2081 0.2772
Si8 0.9032 0.2919 0.7772
O1 0.0448 0.1157 0.7322
O2 0.0448 0.3843 0.2322
O3 0.1086 0.7301 0.5988
O4 0.1086 0.7699 0.0988
O5 0.2744 0.7468 0.8191
O6 0.2744 0.7532 0.3191
O7 0.4067 0.2485 0.5640
O8 0.4067 0.2515 0.0640
O9 0.4855 0.1367 0.2855
O10 0.4855 0.3633 0.7855
O11 0.5145 0.6367 0.2145
O12 0.5145 0.8633 0.7145
O13 0.5933 0.7485 0.9360
O14 0.5933 0.7515 0.4360
O15 0.7256 0.2468 0.6809
O16 0.7256 0.2532 0.1809
O17 0.8914 0.2301 0.9012
O18 0.8914 0.2699 0.4012
O19 0.9552 0.6157 0.7678
O20 0.9552 0.8843 0.2678

Version Q
Entry from Materials Project: a geometry-optimized Na2Si2O5 structure (PBE-GGA).

Cell: 9.5362 5.6512 8.4635 Å, 90.00 90.00 90.00°
Fractional positions:
Na1 0.0110 0.0623 0.0000
Na2 0.2456 0.9130 0.7749
Na3 0.2544 0.9130 0.2749
Na4 0.4890 0.0623 0.5000
Na5 0.5110 0.9377 0.0000
Na6 0.7456 0.0870 0.7749
Na7 0.7544 0.0870 0.2749
Na8 0.9890 0.9377 0.5000
Si1 0.0473 0.4507 0.2706
Si2 0.1917 0.3699 0.5785
Si3 0.3083 0.3699 0.0785
Si4 0.4527 0.4507 0.7706
Si5 0.5473 0.5493 0.2706
Si6 0.6917 0.6301 0.5785
Si7 0.8083 0.6301 0.0785
Si8 0.9527 0.5493 0.7706
O1 0.0009 0.8188 0.7684
O2 0.0796 0.3577 0.7305
O3 0.1146 0.5421 0.4428
O4 0.1723 0.5268 0.1413
O5 0.2328 0.1090 0.5236
O6 0.2672 0.1090 0.0236
O7 0.3277 0.5268 0.6413
O8 0.3854 0.5421 0.9428
O9 0.4204 0.3577 0.2305
O10 0.4991 0.8188 0.2684
O11 0.5009 0.1812 0.7684
O12 0.5796 0.6423 0.7305
O13 0.6146 0.4579 0.4428
O14 0.6723 0.4732 0.1413
O15 0.7328 0.8910 0.5236
O16 0.7672 0.8910 0.0236
O17 0.8277 0.4732 0.6413
O18 0.8854 0.4579 0.9428
O19 0.9204 0.6423 0.2305
O20 0.9991 0.1812 0.2684

Version R
Entry from Materials Project: a geometry-optimized Na2Si2O5 structure (PBE-GGA).

Cell: 9.4714 9.4714 9.4714 Å, 98.25 98.25 135.47°
Fractional positions:
Na1 0.0419 0.0802 0.6982
Na2 0.1179 0.6563 0.1982
Na3 0.1563 0.4581 0.5383
Na4 0.4198 0.6179 0.9617
Na5 0.5802 0.3821 0.0383
Na6 0.8437 0.5419 0.4617
Na7 0.8821 0.3437 0.8018
Na8 0.9581 0.9198 0.3018
Si1 0.0261 0.1863 0.0753
Si2 0.3137 0.8891 0.8398
Si3 0.3891 0.0492 0.5753
Si4 0.4508 0.5261 0.3398
Si5 0.5492 0.4739 0.6602
Si6 0.6109 0.9508 0.4247
Si7 0.6863 0.1109 0.1602
Si8 0.9739 0.8137 0.9247
O1 0.0000 0.0000 0.0000
O2 0.0864 0.3400 0.9821
O3 0.1421 0.8957 0.4821
O4 0.1600 0.6421 0.7464
O5 0.1928 0.2961 0.2509
O6 0.2039 0.9548 0.8967
O7 0.3957 0.4136 0.7536
O8 0.4419 0.6928 0.3967
O9 0.4548 0.0581 0.7509
O10 0.5000 0.0000 0.0000
O11 0.5000 0.0000 0.5000
O12 0.5000 0.5000 0.5000
O13 0.5452 0.9419 0.2491
O14 0.5581 0.3072 0.6033
O15 0.6043 0.5864 0.2464
O16 0.7961 0.0452 0.1033
O17 0.8072 0.7039 0.7491
O18 0.8400 0.3579 0.2536
O19 0.8579 0.1043 0.5179
O20 0.9136 0.6600 0.0179

Which of them is most stable? Easy: version P.

Version P
Entry from Materials Project: a geometry-optimized Na2Si3O7 structure (PBE-GGA).

Cell: 5.1290 5.1290 11.7050 Å, 100.73 100.73 57.14°
Fractional positions:
Na1 0.0602 0.6473 0.8181
Na2 0.3527 0.9398 0.6819
Na3 0.6473 0.0602 0.3181
Na4 0.9398 0.3527 0.1819
Si1 0.0000 0.5000 0.5000
Si2 0.2407 0.6729 0.1152
Si3 0.3271 0.7593 0.3848
Si4 0.5000 0.0000 0.0000
Si5 0.6729 0.2407 0.6152
Si6 0.7593 0.3271 0.8848
O1 0.0895 0.1808 0.9634
O2 0.1477 0.8523 0.2500
O3 0.1808 0.0895 0.4634
O4 0.2444 0.5097 0.4109
O5 0.2967 0.4214 0.6273
O6 0.4214 0.2967 0.1273
O7 0.4903 0.7556 0.0891
O8 0.5097 0.2444 0.9109
O9 0.5786 0.7033 0.8727
O10 0.7033 0.5786 0.3727
O11 0.7556 0.4903 0.5891
O12 0.8192 0.9105 0.5366
O13 0.8523 0.1477 0.7500
O14 0.9105 0.8192 0.0366

Version Q
Entry from Materials Project: a geometry-optimized Na2Si3O7 structure (PBE-GGA).

Cell: 7.2948 10.7343 9.9389 Å, 90.00 120.28 90.00°
Fractional positions:
Na1 0.2111 0.1964 0.1224
Na2 0.2111 0.3036 0.6224
Na3 0.2513 0.5605 0.0700
Na4 0.2513 0.9395 0.5700
Na5 0.7487 0.0605 0.4300
Na6 0.7487 0.4395 0.9300
Na7 0.7889 0.6964 0.3776
Na8 0.7889 0.8036 0.8776
Si1 0.1648 0.0684 0.8158
Si2 0.1648 0.4316 0.3158
Si3 0.2780 0.6062 0.7272
Si4 0.2780 0.8938 0.2272
Si5 0.3794 0.6832 0.4759
Si6 0.3794 0.8168 0.9759
Si7 0.6206 0.1832 0.0241
Si8 0.6206 0.3168 0.5241
Si9 0.7220 0.1062 0.7728
Si10 0.7220 0.3938 0.2728
Si11 0.8352 0.5684 0.6842
Si12 0.8352 0.9316 0.1842
O1 0.0141 0.6018 0.6337
O2 0.0141 0.8982 0.1337
O3 0.1024 0.1053 0.6433
O4 0.1024 0.3947 0.1433
O5 0.2165 0.5833 0.3475
O6 0.2165 0.9167 0.8475
O7 0.3275 0.7045 0.6172
O8 0.3275 0.7955 0.1172
O9 0.3505 0.6823 0.8922
O10 0.3505 0.8177 0.3922
O11 0.3732 0.1441 0.9541
O12 0.3732 0.3559 0.4541
O13 0.3897 0.0247 0.2567
O14 0.3897 0.4753 0.7567
O15 0.6103 0.5247 0.2433
O16 0.6103 0.9753 0.7433
O17 0.6268 0.6441 0.5459
O18 0.6268 0.8559 0.0459
O19 0.6495 0.1823 0.6078
O20 0.6495 0.3177 0.1078
O21 0.6725 0.2045 0.8828
O22 0.6725 0.2955 0.3828
O23 0.7835 0.0833 0.1525
O24 0.7835 0.4167 0.6525
O25 0.8976 0.6053 0.8567
O26 0.8976 0.8947 0.3567
O27 0.9859 0.1018 0.8663
O28 0.9859 0.3982 0.3663

Which of them is most stable? Easy: version Q.

Version P
Entry from Materials Project: a geometry-optimized Na4SrSi3O9 structure (PBE-GGA).

Cell: 6.6999 6.6999 6.6940 Å, 109.49 109.49 109.38°
Fractional positions:
Na1 0.0000 0.0000 0.0000
Na2 0.5271 0.0525 0.0264
Na3 0.5285 0.4715 0.5000
Na4 0.9475 0.4729 0.9736
Sr1 0.9989 0.0011 0.5000
Si1 0.0728 0.5348 0.5354
Si2 0.4645 0.5355 0.0000
Si3 0.4652 0.9272 0.4646
O1 0.2572 0.5188 0.7615
O2 0.2668 0.7332 0.5000
O3 0.3382 0.0712 0.3758
O4 0.3418 0.2681 0.9709
O5 0.4812 0.7428 0.2385
O6 0.7319 0.6582 0.0291
O7 0.7348 0.0734 0.7004
O8 0.9266 0.2652 0.2996
O9 0.9288 0.6618 0.6242

Version Q
Entry from Materials Project: a geometry-optimized Na4SrSi3O9 structure (PBE-GGA).

Cell: 6.6846 6.7068 6.7068 Å, 109.54 109.40 109.40°
Fractional positions:
Na1 0.0000 0.0000 0.0000
Na2 0.0281 0.0563 0.5281
Na3 0.5000 0.4719 0.5281
Na4 0.9719 0.4719 0.9437
Sr1 0.5000 0.0000 0.0000
Si1 0.0000 0.5366 0.4634
Si2 0.4634 0.9267 0.4634
Si3 0.5366 0.5366 0.0733
O1 0.0400 0.6621 0.7316
O2 0.2410 0.7410 0.4820
O3 0.3084 0.2684 0.9305
O4 0.3657 0.0735 0.3421
O5 0.5000 0.7410 0.2590
O6 0.6221 0.6621 0.9305
O7 0.6916 0.0695 0.7316
O8 0.7590 0.5180 0.2590
O9 0.9600 0.2684 0.3379

Which of them is most stable? Easy: version P.